(1)
Crystalline Nd2HgPb at its relaxed geometry, computed with PBE-GGA.

Calculated total energy = -15.6 eV/cell
Space group = Fm-3m

Geometry as CIF:
```
data_Nd2HgPb
_symmetry_space_group_name_H-M 'P 1'
_symmetry_Int_Tables_number 1
_symmetry_space_group_name_Hall 'P 1'
_cell_length_a 5.492
_cell_length_b 5.492
_cell_length_c 5.492
_cell_angle_alpha 60.00
_cell_angle_beta 60.00
_cell_angle_gamma 60.00
loop_
_atom_site_label
_atom_site_fract_x
_atom_site_fract_y
_atom_site_fract_z
_atom_site_occupancy
Nd1 0.250 0.250 0.250 1
Nd2 0.750 0.750 0.750 1
Hg1 0.500 0.500 0.500 1
Pb1 0.000 0.000 0.000 1
```

(2)
Crystalline NdSmHg2 at its relaxed geometry, computed with PBE-GGA.

Calculated total energy = -12.0 eV/cell
Space group = Fm-3m

Geometry as CIF:
```
data_NdSmHg2
_symmetry_space_group_name_H-M 'P 1'
_symmetry_Int_Tables_number 1
_symmetry_space_group_name_Hall 'P 1'
_cell_length_a 5.405
_cell_length_b 5.405
_cell_length_c 5.405
_cell_angle_alpha 60.00
_cell_angle_beta 60.00
_cell_angle_gamma 60.00
loop_
_atom_site_label
_atom_site_fract_x
_atom_site_fract_y
_atom_site_fract_z
_atom_site_occupancy
Nd1 0.500 0.500 0.500 1
Sm1 0.000 0.000 0.000 1
Hg1 0.250 0.250 0.250 1
Hg2 0.750 0.750 0.750 1
```

(3)
Crystalline Nd2SnHg at its relaxed geometry, computed with PBE-GGA.

Calculated total energy = -16.3 eV/cell
Space group = Fm-3m

Geometry as CIF:
```
data_Nd2SnHg
_symmetry_space_group_name_H-M 'P 1'
_symmetry_Int_Tables_number 1
_symmetry_space_group_name_Hall 'P 1'
_cell_length_a 5.454
_cell_length_b 5.454
_cell_length_c 5.454
_cell_angle_alpha 60.00
_cell_angle_beta 60.00
_cell_angle_gamma 60.00
loop_
_atom_site_label
_atom_site_fract_x
_atom_site_fract_y
_atom_site_fract_z
_atom_site_occupancy
Nd1 0.250 0.250 0.250 1
Nd2 0.750 0.750 0.750 1
Sn1 0.000 0.000 0.000 1
Hg1 0.500 0.500 0.500 1
```

(4)
Crystalline Nd2TlHg at its relaxed geometry, computed with PBE-GGA.

Calculated total energy = -13.9 eV/cell
Space group = Fm-3m

Geometry as CIF:
```
data_Nd2TlHg
_symmetry_space_group_name_H-M 'P 1'
_symmetry_Int_Tables_number 1
_symmetry_space_group_name_Hall 'P 1'
_cell_length_a 5.493
_cell_length_b 5.493
_cell_length_c 5.493
_cell_angle_alpha 60.00
_cell_angle_beta 60.00
_cell_angle_gamma 60.00
loop_
_atom_site_label
_atom_site_fract_x
_atom_site_fract_y
_atom_site_fract_z
_atom_site_occupancy
Nd1 0.250 0.250 0.250 1
Nd2 0.750 0.750 0.750 1
Tl1 0.000 0.000 0.000 1
Hg1 0.500 0.500 0.500 1
```